Na6V2O7 PBE with a Hubbard U optimized geometry; total energy = -5.586 eV/atom; ΔE_f = -2.0843 eV per atom; total moment = 4.00 μB per cell; space-group type = No. 7
1.0
6.014 0.000 0.000
0.000 8.446 0.000
-5.707 0.000 8.989
Na V O
12 4 14
Direct
0.000 0.040 0.000
0.000 0.960 0.500
0.179 0.454 0.452
0.179 0.546 0.952
0.388 0.226 0.768
0.388 0.774 0.268
0.534 0.416 0.280
0.534 0.584 0.780
0.689 0.083 0.182
0.689 0.917 0.682
0.813 0.279 0.691
0.813 0.721 0.191
0.315 0.108 0.377
0.315 0.892 0.877
0.892 0.403 0.093
0.892 0.597 0.593
0.054 0.257 0.249
0.054 0.743 0.749
0.096 0.064 0.791
0.096 0.936 0.291
0.128 0.440 0.662
0.128 0.560 0.162
0.388 0.132 0.561
0.388 0.868 0.061
0.589 0.448 0.081
0.589 0.552 0.581
0.591 0.107 0.357
0.591 0.893 0.857
0.816 0.343 0.910
0.816 0.657 0.410

***

NaV2O4 PBE with a Hubbard U optimized geometry; total energy = -7.142 eV/atom; E above lowest polymorph = 22 meV per atom; ΔE_f = -2.4088 eV per atom; total moment = 6.00 μB per cell; space-group type = No. 15
1.0
5.951 -3.041 0.000
5.951 3.041 0.000
-1.267 0.000 4.864
Na V O
2 4 8
Direct
0.199 0.801 0.750
0.801 0.199 0.250
0.114 0.379 0.762
0.379 0.114 0.262
0.621 0.886 0.738
0.886 0.621 0.238
0.034 0.273 0.027
0.215 0.456 0.475
0.273 0.034 0.527
0.456 0.215 0.975
0.544 0.785 0.025
0.727 0.966 0.473
0.785 0.544 0.525
0.966 0.727 0.973

***

Question: The highest total energy belongs to which entry?
Answer: Na6V2O7

***

Question: What is the total energy in the first record?
Answer: -5.586 eV/atom

***

Question: Which value of ΔE_f does entry 2 give?
Answer: -2.4088 eV per atom

***

Question: total moment of number 2 (NaV2O4)?
Answer: 6.00 μB per cell